(1)
Material: RbHfCO4F4
Method: DFT, PBE
State: optimized geometry

Results
uncorrected energy	-0.24409	Ha/atom
total magnetization	8.1	Bohr magnetons per cell

a b c (Å): 8.0747 7.0727 15.6291
angles (deg): 65.54 90.00 90.00
With the nearest neighbours (Å) after each atom.
Element x y z (fractional)
Rb1 0.6950 0.4121 0.0976  3 F 2.79-2.82
Rb2 0.1950 0.5879 0.4024  3 F 2.79-2.82
Rb3 0.3050 0.5879 0.9024  3 F 2.79-2.82
Rb4 0.8050 0.4121 0.5976  3 F 2.79-2.82
Hf1 0.3405 0.9309 0.0850  4 F 1.97-2.09
Hf2 0.8405 0.0691 0.4150  4 F 1.97-2.09
Hf3 0.6595 0.0691 0.9150  4 F 1.97-2.09
Hf4 0.1595 0.9309 0.5850  4 F 1.97-2.09
C1 0.0005 0.1116 0.9962  2 O 1.27
C2 0.5005 0.8884 0.5038  2 O 1.27
C3 0.9995 0.8884 0.0038  2 O 1.27
C4 0.4995 0.1116 0.4962  2 O 1.27
O1 0.5985 0.7603 0.2732  1 O 1.23
O2 0.0985 0.2397 0.2268  1 O 1.23
O3 0.4015 0.2397 0.7268  1 O 1.23
O4 0.9015 0.7603 0.7732  1 O 1.23
O5 0.1301 0.1675 0.0250  1 C 1.27
O6 0.6301 0.8325 0.4750  1 C 1.27
O7 0.8699 0.8325 0.9750  1 C 1.27
O8 0.3699 0.1675 0.5250  1 C 1.27
O9 0.1283 0.7815 0.0382  1 C 1.27
O10 0.6283 0.2185 0.4618  1 C 1.27
O11 0.8717 0.2185 0.9618  1 C 1.27
O12 0.3717 0.7815 0.5382  1 C 1.27
O13 0.2290 0.3041 0.2452  1 O 1.23
O14 0.7290 0.6959 0.2548  1 O 1.23
O15 0.7710 0.6959 0.7548  1 O 1.23
O16 0.2710 0.3041 0.7452  1 O 1.23
F1 0.2352 0.8251 0.2095  1 Hf 1.97
F2 0.7352 0.1749 0.2905  1 Hf 1.97
F3 0.7648 0.1749 0.7905  1 Hf 1.97
F4 0.2648 0.8251 0.7095  1 Hf 1.97
F5 0.4148 0.1767 0.1034  1 Hf 1.97
F6 0.9148 0.8233 0.3966  1 Hf 1.97
F7 0.5852 0.8233 0.8966  1 Hf 1.97
F8 0.0852 0.1767 0.6034  1 Hf 1.97
F9 0.4275 0.6504 0.1152  1 Hf 1.97
F10 0.9275 0.3496 0.3848  1 Hf 1.97
F11 0.5725 0.3496 0.8848  1 Hf 1.97
F12 0.0725 0.6504 0.6152  1 Hf 1.97
F13 0.3853 0.0378 0.9408  2 Hf 2.09-2.24
F14 0.8853 0.9622 0.5592  2 Hf 2.09-2.24
F15 0.6147 0.9622 0.0592  2 Hf 2.09-2.24
F16 0.1147 0.0378 0.4408  2 Hf 2.09-2.24


(2)
Material: HgC4F6
Method: DFT, PBE
State: optimized geometry

Results
uncorrected energy	-0.19094	Ha/atom
total magnetization	0.0	Bohr magnetons per cell

a b c (Å): 5.1297 5.9252 6.6932
angles (deg): 104.50 109.01 106.47
With the nearest neighbours (Å) after each atom.
Element x y z (fractional)
Hg1 0.0000 0.0000 0.0000  2 C 2.09
C1 0.7897 0.8668 0.1916  1 C 1.34, 1 F 1.38
C2 0.2103 0.1332 0.8084  1 C 1.34, 1 F 1.38
C3 0.8064 0.6761 0.2614  2 F 1.34, 1 C 1.34
C4 0.1936 0.3239 0.7386  2 F 1.34, 1 C 1.34
F1 0.9695 0.5461 0.2178  1 C 1.34
F2 0.0305 0.4539 0.7822  1 C 1.34
F3 0.6155 0.9838 0.2549  1 C 1.38
F4 0.3845 0.0162 0.7451  1 C 1.38
F5 0.6697 0.5906 0.3831  1 C 1.34
F6 0.3303 0.4094 0.6169  1 C 1.34


(3)
Material: HgTe2C2N2F16
Method: DFT, PBE
State: optimized geometry

Results
uncorrected energy	-0.17041	Ha/atom
total magnetization	0.0	Bohr magnetons per cell

a b c (Å): 9.9780 11.0237 13.0997
angles (deg): 90.00 90.00 90.00
With the nearest neighbours (Å) after each atom.
Element x y z (fractional)
Hg1 0.5000 0.0000 0.5000  2 N 2.07
Hg2 0.5000 0.5000 0.0000  2 N 2.07
Hg3 0.0000 0.0000 0.0000  2 N 2.07
Hg4 0.0000 0.5000 0.5000  2 N 2.07
Te1 0.2733 0.4230 0.8061  5 F 1.88-1.89, 1 N 1.98
Te2 0.7267 0.0770 0.3061  5 F 1.88-1.89, 1 N 1.98
Te3 0.2267 0.9230 0.1939  5 F 1.88-1.89, 1 N 1.98
Te4 0.7267 0.5770 0.1939  5 F 1.88-1.89, 1 N 1.98
Te5 0.2267 0.4230 0.3061  5 F 1.88-1.89, 1 N 1.98
Te6 0.2733 0.9230 0.6939  5 F 1.88-1.89, 1 N 1.98
Te7 0.7733 0.5770 0.6939  5 F 1.88-1.89, 1 N 1.98
Te8 0.7733 0.0770 0.8061  5 F 1.88-1.89, 1 N 1.98
C1 0.6467 0.7378 0.0221  3 F 1.36-1.38, 1 N 1.41
C2 0.3533 0.7622 0.5221  3 F 1.36-1.38, 1 N 1.41
C3 0.1467 0.7622 0.0221  3 F 1.36-1.38, 1 N 1.41
C4 0.1467 0.2622 0.4779  3 F 1.36-1.38, 1 N 1.41
C5 0.3533 0.2622 0.9779  3 F 1.36-1.38, 1 N 1.41
C6 0.6467 0.2378 0.4779  3 F 1.36-1.38, 1 N 1.41
C7 0.8533 0.2378 0.9779  3 F 1.36-1.38, 1 N 1.41
C8 0.8533 0.7378 0.5221  3 F 1.36-1.38, 1 N 1.41
N1 0.3712 0.3769 0.9322  1 C 1.41
N2 0.1288 0.8769 0.0678  1 C 1.41
N3 0.8712 0.1231 0.9322  1 C 1.41
N4 0.6288 0.6231 0.0678  1 C 1.41
N5 0.1288 0.3769 0.4322  1 C 1.41
N6 0.3712 0.8769 0.5678  1 C 1.41
N7 0.8712 0.6231 0.5678  1 C 1.41
N8 0.6288 0.1231 0.4322  1 C 1.41
F1 0.1747 0.2784 0.7967  1 Te 1.88
F2 0.9034 0.6414 0.7819  1 Te 1.88
F3 0.8869 0.3326 0.9161  1 C 1.36
F4 0.6747 0.7216 0.7033  1 Te 1.88
F5 0.1328 0.0716 0.1908  1 Te 1.89
F6 0.2761 0.7404 0.9910  1 C 1.38
F7 0.6131 0.3326 0.4161  1 C 1.36
F8 0.1316 0.9958 0.6221  1 Te 1.88
F9 0.7239 0.2596 0.0090  1 C 1.38
F10 0.3684 0.4958 0.3779  1 Te 1.88
F11 0.0966 0.3586 0.2181  1 Te 1.88
F12 0.8672 0.4284 0.6908  1 Te 1.89
F13 0.3253 0.7784 0.2033  1 Te 1.88
F14 0.9034 0.1414 0.7181  1 Te 1.88
F15 0.2239 0.2404 0.0090  1 C 1.38
F16 0.8253 0.2216 0.2967  1 Te 1.88
F17 0.1131 0.6674 0.0839  1 C 1.36
F18 0.9323 0.2438 0.0627  1 C 1.36
F19 0.6316 0.0042 0.8779  1 Te 1.88
F20 0.6747 0.2216 0.7967  1 Te 1.88
F21 0.6328 0.4284 0.1908  1 Te 1.89
F22 0.8684 0.0042 0.3779  1 Te 1.88
F23 0.6316 0.5042 0.6221  1 Te 1.88
F24 0.5966 0.1414 0.2181  1 Te 1.88
F25 0.8869 0.8326 0.5839  1 C 1.36
F26 0.5966 0.6414 0.2819  1 Te 1.88
F27 0.9323 0.7438 0.4373  1 C 1.36
F28 0.2239 0.7404 0.4910  1 C 1.38
F29 0.1866 0.4780 0.6869  1 Te 1.89
F30 0.6131 0.8326 0.0839  1 C 1.36
F31 0.0677 0.2562 0.5627  1 C 1.36
F32 0.6866 0.5220 0.8131  1 Te 1.89
F33 0.1131 0.1674 0.4161  1 C 1.36
F34 0.3869 0.1674 0.9161  1 C 1.36
F35 0.6866 0.0220 0.6869  1 Te 1.89
F36 0.3134 0.9780 0.3131  1 Te 1.89
F37 0.7761 0.7596 0.9910  1 C 1.38
F38 0.8672 0.9284 0.8092  1 Te 1.89
F39 0.0677 0.7562 0.9373  1 C 1.36
F40 0.8684 0.5042 0.1221  1 Te 1.88
F41 0.1316 0.4958 0.8779  1 Te 1.88
F42 0.7761 0.2596 0.5090  1 C 1.38
F43 0.1866 0.9780 0.8131  1 Te 1.89
F44 0.2761 0.2404 0.5090  1 C 1.38
F45 0.3253 0.2784 0.2967  1 Te 1.88
F46 0.1747 0.7784 0.7033  1 Te 1.88
F47 0.5677 0.2438 0.5627  1 C 1.36
F48 0.6328 0.9284 0.3092  1 Te 1.89
F49 0.5677 0.7438 0.9373  1 C 1.36
F50 0.4034 0.3586 0.7181  1 Te 1.88
F51 0.0966 0.8586 0.2819  1 Te 1.88
F52 0.3684 0.9958 0.1221  1 Te 1.88
F53 0.4034 0.8586 0.7819  1 Te 1.88
F54 0.3672 0.5716 0.8092  1 Te 1.89
F55 0.8253 0.7216 0.2033  1 Te 1.88
F56 0.4323 0.7562 0.4373  1 C 1.36
F57 0.8134 0.5220 0.3131  1 Te 1.89
F58 0.3869 0.6674 0.5839  1 C 1.36
F59 0.3672 0.0716 0.6908  1 Te 1.89
F60 0.3134 0.4780 0.1869  1 Te 1.89
F61 0.7239 0.7596 0.4910  1 C 1.38
F62 0.4323 0.2562 0.0627  1 C 1.36
F63 0.8134 0.0220 0.1869  1 Te 1.89
F64 0.1328 0.5716 0.3092  1 Te 1.89


Calculated ΔE_f (eV per atom), listed in the same order as above: -2.5397 -1.0199 -1.8125